A geometry-optimized Li11Mn12B12O36 structure, computed with PBE+U.

* energy relative to the elements: -2199 meV/atom
* total magnetization: 59.0 μB/f.u.
* distance to the lowest polymorph of the same formula: 292 meV/atom

Structure (POSCAR):
```
Li11Mn12B12O36
1.0
10.436 0.000 0.000
-1.349 8.787 0.000
-1.295 -2.949 8.245
Mn B O Li
12 12 36 11
Direct
0.665 0.651 0.036 Mn
0.913 0.902 0.280 Mn
0.769 0.419 0.402 Mn
0.319 0.683 0.322 Mn
0.063 0.433 0.071 Mn
0.166 0.155 0.525 Mn
0.272 0.913 0.899 Mn
0.566 0.929 0.570 Mn
0.015 0.665 0.647 Mn
0.523 0.164 0.151 Mn
0.811 0.182 0.822 Mn
0.415 0.403 0.777 Mn
0.001 0.000 0.001 B
0.291 0.627 0.957 B
0.209 0.875 0.541 B
0.709 0.376 0.043 B
0.963 0.624 0.292 B
0.752 0.752 0.759 B
0.459 0.124 0.791 B
0.541 0.876 0.203 B
0.791 0.126 0.457 B
0.250 0.250 0.249 B
0.494 0.496 0.499 B
0.041 0.375 0.708 B
0.896 0.008 0.090 O
0.422 0.201 0.674 O
0.583 0.056 0.804 O
0.617 0.366 0.144 O
0.666 0.810 0.205 O
0.833 0.307 0.053 O
0.921 0.700 0.173 O
0.091 0.557 0.300 O
0.145 0.260 0.338 O
0.915 0.056 0.472 O
0.758 0.202 0.340 O
0.237 0.315 0.122 O
0.369 0.117 0.895 O
0.454 0.868 0.308 O
0.117 0.922 0.037 O
0.503 0.955 0.089 O
0.471 0.552 0.367 O
0.878 0.614 0.395 O
0.169 0.950 0.422 O
0.950 0.370 0.811 O
0.417 0.557 0.974 O
0.749 0.831 0.649 O
0.367 0.173 0.288 O
0.674 0.456 0.929 O
0.394 0.508 0.594 O
0.009 0.450 0.591 O
0.201 0.620 0.059 O
0.335 0.807 0.552 O
0.867 0.672 0.790 O
0.616 0.422 0.541 O
0.991 0.070 0.878 O
0.122 0.869 0.646 O
0.700 0.120 0.560 O
0.642 0.752 0.844 O
0.258 0.701 0.838 O
0.165 0.305 0.725 O
0.659 0.939 0.959 Li
0.160 0.444 0.459 Li
0.029 0.729 0.012 Li
0.437 0.455 0.154 Li
0.909 0.192 0.209 Li
0.779 0.481 0.762 Li
0.187 0.204 0.904 Li
0.409 0.691 0.709 Li
0.937 0.954 0.655 Li
0.530 0.229 0.512 Li
0.279 0.978 0.261 Li
```

A geometry-optimized LiNiC2O6 structure, computed with PBE+U.

* energy relative to the elements: -1623 meV/atom
* total magnetization: 0.0 μB/f.u.
* distance to the lowest polymorph of the same formula: 67 meV/atom

Structure (POSCAR):
```
LiNiC2O6
1.0
9.240 0.000 0.000
0.000 7.282 0.000
0.000 4.605 7.681
O C Ni Li
24 8 4 4
Direct
0.028 0.527 0.745 O
0.972 0.473 0.255 O
0.194 0.473 0.149 O
0.614 0.796 0.444 O
0.114 0.204 0.056 O
0.472 0.527 0.245 O
0.694 0.527 0.351 O
0.886 0.199 0.155 O
0.528 0.473 0.755 O
0.386 0.204 0.556 O
0.306 0.473 0.649 O
0.806 0.527 0.851 O
0.168 0.474 0.396 O
0.000 0.899 0.222 O
0.886 0.796 0.944 O
0.500 0.101 0.278 O
0.332 0.474 0.896 O
0.614 0.199 0.655 O
0.114 0.801 0.845 O
0.832 0.526 0.604 O
0.386 0.801 0.345 O
0.500 0.899 0.722 O
0.000 0.101 0.778 O
0.668 0.526 0.104 O
0.388 0.474 0.767 C
0.500 0.099 0.645 C
0.500 0.901 0.355 C
0.112 0.474 0.267 C
0.888 0.526 0.733 C
0.000 0.099 0.145 C
0.000 0.901 0.855 C
0.612 0.526 0.233 C
0.112 0.503 0.947 Ni
0.888 0.497 0.053 Ni
0.388 0.503 0.447 Ni
0.612 0.497 0.553 Ni
0.615 0.656 0.845 Li
0.885 0.656 0.345 Li
0.385 0.344 0.155 Li
0.115 0.344 0.655 Li
```

A geometry-optimized MgFe8O8F8 structure, computed with PBE+U.

* energy relative to the elements: -2120 meV/atom
* total magnetization: 0.0 μB/f.u.
* distance to the lowest polymorph of the same formula: 10 meV/atom

Structure (POSCAR):
```
MgFe8O8F8
1.0
-2.633 5.949 7.100
-7.321 -6.237 2.453
1.909 -1.476 1.945
O Fe F Mg
8 8 8 1
Direct
0.134 0.421 0.500 O
0.132 0.154 0.000 O
0.896 0.598 0.500 O
0.868 0.343 0.000 O
0.090 0.913 0.500 O
0.144 0.662 0.000 O
0.609 0.380 0.500 O
0.654 0.677 0.000 O
0.503 0.006 0.000 Fe
0.009 0.002 0.000 Fe
0.213 0.764 0.500 Fe
0.767 0.267 0.500 Fe
0.753 0.741 0.500 Fe
0.979 0.507 0.000 Fe
0.215 0.237 0.500 Fe
0.593 0.493 0.000 Fe
0.670 0.150 0.000 F
0.851 0.857 0.000 F
0.344 0.319 0.000 F
0.608 0.910 0.500 F
0.370 0.587 0.500 F
0.387 0.096 0.500 F
0.894 0.092 0.500 F
0.339 0.844 0.000 F
0.268 0.501 0.000 Mg
```

- The highest distance to the lowest polymorph of the same formula belongs to which entry?
  Li11Mn12B12O36